First-principles (PBE) data for a geometry-optimized ZnIn2Se4 structure, as listed in Materials Project.

Its total moment is 0.000 μB per formula unit. For the total energy, the calculation gives -195.899 eV/cell. The calculation puts the MP2020-corrected energy at -3.77 eV per atom. The value obtained for the formation energy is -5.63 eV/f.u.

The structure belongs to space group Fd-3m (No. 227, origin choice 2); the cell edges are 11.318, 11.318 and 11.318 Å and the angles 90.00°, 90.00° and 90.00°. The inequivalent atoms are Zn at (0.125, 0.125, 0.125), In at (0.000, 0.000, 0.500) and Se at (0.005, 0.005, 0.745).



First-principles (PBE) data for a geometry-optimized ZnIn2Se4 structure, as listed in Materials Project.

For the piezoelectric modulus e_max, the calculation gives 0.14 C/m2. For the total energy, the calculation gives -49.804 eV/cell. The calculation puts the MP2020-corrected energy at -3.83 eV per atom. The value obtained for the formation energy is -6.04 eV/f.u.

The structure belongs to space group I-4 (No. 82); the cell edges are 5.824, 5.824 and 11.713 Å and the angles 90.00°, 90.00° and 90.00°. The inequivalent atoms are Zn at (0.000, 0.000, 0.000), In at (0.000, 0.000, 0.500), In at (0.000, 0.500, 0.750) and Se at (0.218, 0.739, 0.131).



First-principles (PBE) data for a geometry-optimized ZnIn2Se4 structure, as listed in Materials Project.

For the piezoelectric modulus e_max, the calculation gives 0.16 C/m2. For the total energy, the calculation gives -49.791 eV/cell. The calculation puts the MP2020-corrected energy at -3.83 eV per atom. The value obtained for the formation energy is -6.04 eV/f.u.

The structure belongs to space group I-42m (No. 121); the cell edges are 5.881, 5.881 and 11.516 Å and the angles 90.00°, 90.00° and 90.00°. The inequivalent atoms are Zn at (0.000, 0.000, 0.000), In at (0.000, 0.500, 0.250) and Se at (0.240, 0.240, 0.610).



First-principles (PBE) data for a geometry-optimized In3Si structure, as listed in Materials Project.

Its total moment is 0.000 μB per formula unit. For the total energy, the calculation gives -12.500 eV/cell. The calculation puts the MP2020-corrected energy at -3.11 eV per atom. The value obtained for the formation energy is 1.25 eV/f.u.

The structure belongs to space group Pm-3m (No. 221); the cell edges are 4.598, 4.598 and 4.598 Å and the angles 90.00°, 90.00° and 90.00°. The inequivalent atoms are In at (0.000, 0.000, 0.500) and Si at (0.500, 0.500, 0.500).



First-principles (PBE) data for a geometry-optimized In3Si structure, as listed in Materials Project.

Its total moment is 0.001 μB per formula unit. For the total energy, the calculation gives -25.006 eV/cell. The calculation puts the MP2020-corrected energy at -3.11 eV per atom. The value obtained for the formation energy is 1.25 eV/f.u.

The structure belongs to space group P6_3/mmc (No. 194); the cell edges are 6.5221, 6.5221 and 5.2906 Å and the angles 90.00°, 90.00° and 120.00°. The inequivalent atoms are In at (0.1713, 0.3426, 0.2500) and Si at (0.3333, 0.6667, 0.7500).



First-principles (PBE) data for a geometry-optimized InSiTe3 structure, as listed in Materials Project.

For the total energy, the calculation gives -37.316 eV/cell. The calculation puts the MP2020-corrected energy at -3.98 eV per atom. The value obtained for the formation energy is -2.32 eV/f.u.

The structure belongs to space group P-31m (No. 162); the cell edges are 7.1711, 7.1711 and 7.5006 Å and the angles 90.00°, 90.00° and 120.00°. The inequivalent atoms are In at (0.3333, 0.6667, 0.0000), Si at (0.0000, 0.0000, 0.1552) and Te at (0.0000, 0.3372, 0.2563).



First-principles (PBE) data for a geometry-optimized InSiTe3 structure, as listed in Materials Project.

Its total moment is 0.890 μB per formula unit. For the total energy, the calculation gives -16.914 eV/cell. The calculation puts the MP2020-corrected energy at -3.64 eV per atom. The value obtained for the formation energy is -0.57 eV/f.u.

The structure belongs to space group P3 (No. 143); the cell edges are 7.3890, 7.3890 and 5.1963 Å and the angles 90.00°, 90.00° and 120.00°. The inequivalent atoms are In at (0.0000, 0.0000, 0.0000), Si at (0.6667, 0.3333, 0.8115) and Te at (0.0227, 0.6334, 0.8032).



First-principles (PBE) data for a geometry-optimized Sm3In5 structure, as listed in Materials Project.

For the total energy, the calculation gives -127.610 eV/cell. The value obtained for the formation energy is -3.99 eV/f.u.

The structure belongs to space group Cmcm (No. 63); the cell edges are 10.157, 8.215 and 10.579 Å and the angles 90.00°, 90.00° and 90.00°. The inequivalent atoms are Sm at (0.000, 0.128, 0.250), Sm at (0.202, 0.500, 0.000), In at (0.000, 0.191, 0.547), In at (0.000, 0.489, 0.750) and In at (0.216, 0.208, 0.750).